LiTiO4F3 | GGA-PBE | optimized geometry

Output
VASP energy: -5.880 eV/atom
Total magnetic moment: 2.00 μB/f.u.
Space-group type: No. 63

Lattice parameters (Å, degrees): 6.0434 6.0434 7.3644 90.00 90.00 94.74
Positions (direct):
Li 0.7917 0.7917 0.2500
Li 0.2083 0.2083 0.7500
Ti 0.2528 0.2528 0.2500
Ti 0.7472 0.7472 0.7500
O 0.9595 0.4989 0.7500
O 0.5011 0.0405 0.2500
O 0.7495 0.4107 0.7500
O 0.5893 0.2505 0.2500
O 0.4107 0.7495 0.7500
O 0.2505 0.5893 0.2500
O 0.4989 0.9595 0.7500
O 0.0405 0.5011 0.2500
F 0.0233 0.0233 0.2500
F 0.2717 0.2717 0.5032
F 0.2717 0.2717 0.9968
F 0.7283 0.7283 0.4968
F 0.7283 0.7283 0.0032
F 0.9767 0.9767 0.7500



LiPF6 | GGA-PBE | optimized geometry

Output
VASP energy: -5.044 eV/atom
Space-group type: No. 148

Lattice parameters (Å, degrees): 5.1742 5.1742 5.1742 58.06 58.06 58.06
Positions (direct):
Li 0.5000 0.5000 0.5000
P 0.0000 0.0000 0.0000
F 0.7833 0.3061 0.1310
F 0.3061 0.1310 0.7833
F 0.1310 0.7833 0.3061
F 0.6939 0.8690 0.2167
F 0.8690 0.2167 0.6939
F 0.2167 0.6939 0.8690



Rb2LiPdF6 | GGA-PBE | optimized geometry

Output
VASP energy: -4.280 eV/atom
Total magnetic moment: 1.00 μB/f.u.
Space-group type: No. 225

Lattice parameters (Å, degrees): 5.9748 5.9748 5.9748 60.00 60.00 60.00
Positions (direct):
Rb 0.2500 0.2500 0.2500
Rb 0.7500 0.7500 0.7500
Li 0.5000 0.5000 0.5000
Pd 0.0000 0.0000 0.0000
F 0.2457 0.7543 0.2457
F 0.7543 0.7543 0.2457
F 0.7543 0.2457 0.7543
F 0.7543 0.2457 0.2457
F 0.2457 0.7543 0.7543
F 0.2457 0.2457 0.7543



Rb2LiPrF6 | GGA-PBE | optimized geometry

Output
VASP energy: -5.251 eV/atom
Total magnetic moment: 0.00 μB/f.u.
Space-group type: No. 225

Lattice parameters (Å, degrees): 6.2958 6.2958 6.2958 60.00 60.00 60.00
Positions (direct):
Rb 0.7500 0.7500 0.7500
Rb 0.2500 0.2500 0.2500
Li 0.5000 0.5000 0.5000
Pr 0.0000 0.0000 0.0000
F 0.7414 0.2586 0.2586
F 0.2586 0.2586 0.7414
F 0.2586 0.7414 0.7414
F 0.2586 0.7414 0.2586
F 0.7414 0.2586 0.7414
F 0.7414 0.7414 0.2586



Li3PtF6 | GGA-PBE | optimized geometry

Output
VASP energy: -4.061 eV/atom
Total magnetic moment: 1.00 μB/f.u.
Space-group type: No. 2

Lattice parameters (Å, degrees): 7.5055 7.0515 11.4905 77.53 91.36 122.55
Positions (direct):
Li 0.0000 0.0000 0.5000
Li 0.5000 0.5000 0.0000
Li 0.0000 0.5000 0.0000
Pt 0.0000 0.0000 0.0000
F 0.9834 0.2759 0.9459
F 0.0166 0.7241 0.0541
F 0.9322 0.9425 0.6546
F 0.0678 0.0575 0.3454
F 0.6999 0.7937 0.9779
F 0.3001 0.2063 0.0221



Li2PtF6 | GGA-PBE | optimized geometry

Output
VASP energy: -4.484 eV/atom
Space-group type: No. 136

Lattice parameters (Å, degrees): 4.7355 4.7355 9.3261 90.00 90.00 90.00
Positions (direct):
Li 0.0000 0.0000 0.3365
Li 0.5000 0.5000 0.8365
Li 0.0000 0.0000 0.6635
Li 0.5000 0.5000 0.1635
Pt 0.5000 0.5000 0.5000
Pt 0.0000 0.0000 0.0000
F 0.3077 0.6923 0.6608
F 0.1923 0.1923 0.8392
F 0.7049 0.2951 0.0000
F 0.7951 0.7951 0.5000
F 0.2951 0.7049 0.0000
F 0.2049 0.2049 0.5000
F 0.1923 0.1923 0.1608
F 0.3077 0.6923 0.3392
F 0.8077 0.8077 0.8392
F 0.6923 0.3077 0.6608
F 0.8077 0.8077 0.1608
F 0.6923 0.3077 0.3392



Li2PtF6 | GGA-PBE | optimized geometry

Output
VASP energy: -4.483 eV/atom
Total magnetic moment: 0.00 μB/f.u.
Space-group type: No. 14

Lattice parameters (Å, degrees): 4.7493 4.7338 10.4621 63.17 90.00 90.00
Positions (direct):
Li 0.4824 0.6653 0.8368
Li 0.9824 0.3347 0.6632
Li 0.5176 0.3347 0.1632
Li 0.0176 0.6653 0.3368
Pt 0.5000 0.0000 0.5000
Pt 0.0000 0.0000 0.0000
F 0.7946 0.2971 0.4980
F 0.2946 0.7029 0.0020
F 0.2054 0.7029 0.5020
F 0.7054 0.2971 0.9980
F 0.6877 0.6442 0.6614
F 0.1877 0.3558 0.8386
F 0.3123 0.3558 0.3386
F 0.8123 0.6442 0.1614
F 0.3053 0.0333 0.6598
F 0.8053 0.9667 0.8402
F 0.6947 0.9667 0.3402
F 0.1947 0.0333 0.1598



Rb2LiRhF6 | GGA-PBE | optimized geometry

Output
VASP energy: -4.640 eV/atom
Total magnetic moment: 0.00 μB/f.u.
Space-group type: No. 225

Lattice parameters (Å, degrees): 5.9344 5.9344 5.9344 60.00 60.00 60.00
Positions (direct):
Rb 0.7500 0.7500 0.7500
Rb 0.2500 0.2500 0.2500
Li 0.5000 0.5000 0.5000
Rh 0.0000 0.0000 0.0000
F 0.7581 0.2419 0.2419
F 0.2419 0.2419 0.7581
F 0.2419 0.7581 0.7581
F 0.2419 0.7581 0.2419
F 0.7581 0.2419 0.7581
F 0.7581 0.7581 0.2419